No. 1
Er2ZnAs2O after structural relaxation, computed with PBE.

Values from the calculation:
raw total energy: -27.11 eV per formula unit
calculated volume: 158.4 Å³ per cell
ρ: 5.93 g/cm3
symmetry: No. 123
crystal system: tetragonal

Cell lengths 3.283, 3.283, 14.697 Å; angles 90.00, 90.00, 90.00 degrees
Positions (direct):
As (0.500, 0.500, 0.160)
As (0.500, 0.500, 0.840)
Er (0.500, 0.500, 0.365)
Er (0.500, 0.500, 0.635)
O (0.500, 0.500, 0.500)
Zn (0.500, 0.500, 0.000)

No. 2
PuIn after structural relaxation, computed with PBE.

Values from the calculation:
raw total energy: -17.44 eV per formula unit
calculated volume: 51.3 Å³ per cell
ρ: 11.62 g/cm3
symmetry: No. 123
crystal system: tetragonal

Cell lengths 3.216, 3.216, 4.956 Å; angles 90.00, 90.00, 90.00 degrees
Positions (direct):
In (0.000, 0.000, 0.000)
Pu (0.500, 0.500, 0.500)

No. 3
Na3TaInSi2PO12 after structural relaxation, computed with PBE.

Values from the calculation:
raw total energy: -141.68 eV per formula unit
calculated volume: 3206.3 Å³ per cell
ρ: 4.00 g/cm3

Cell lengths 15.862, 27.351, 9.033 Å; angles 90.00, 125.09, 90.00 degrees
Positions (direct):
Na (0.819, 0.356, 0.705)
Na (0.319, 0.144, 0.205)
Na (0.997, 0.868, 0.761)
Na (0.749, 0.419, 0.020)
Na (0.995, 0.800, 0.254)
Na (0.249, 0.081, 0.520)
Na (0.749, 0.581, 0.520)
Na (0.247, 0.587, 0.018)
Na (0.497, 0.368, 0.761)
Na (0.995, 0.533, 0.755)
Na (0.194, 0.307, 0.287)
Na (0.495, 0.700, 0.754)
Na (0.747, 0.087, 0.018)
Na (0.995, 0.467, 0.255)
Na (0.754, 0.755, 0.008)
Na (0.249, 0.919, 0.020)
Na (0.495, 0.967, 0.255)
Na (0.694, 0.193, 0.787)
Na (0.819, 0.022, 0.711)
Na (0.754, 0.245, 0.508)
Na (0.194, 0.693, 0.787)
Na (0.995, 0.200, 0.754)
Na (0.694, 0.807, 0.287)
Na (0.497, 0.632, 0.261)
Na (0.319, 0.856, 0.705)
Na (0.495, 0.033, 0.755)
Na (0.254, 0.255, 0.008)
Na (0.997, 0.132, 0.261)
Na (0.747, 0.913, 0.518)
Na (0.247, 0.413, 0.518)
Na (0.819, 0.978, 0.211)
Na (0.319, 0.478, 0.211)
Na (0.819, 0.644, 0.205)
Na (0.495, 0.300, 0.254)
Na (0.254, 0.745, 0.508)
Na (0.319, 0.522, 0.711)
O (0.462, 0.940, 0.939)
O (0.960, 0.775, 0.927)
O (0.145, 0.862, 0.742)
O (0.938, 0.321, 0.065)
O (0.247, 0.885, 0.256)
O (0.045, 0.551, 0.058)
O (0.047, 0.220, 0.058)
O (0.438, 0.821, 0.065)
O (0.345, 0.612, 0.585)
O (0.248, 0.783, 0.755)
O (0.143, 0.195, 0.741)
O (0.845, 0.888, 0.085)
O (0.542, 0.616, 0.555)
O (0.753, 0.895, 0.250)
O (0.342, 0.644, 0.250)
O (0.086, 0.287, 0.746)
O (0.063, 0.311, 0.408)
O (0.747, 0.615, 0.756)
O (0.042, 0.884, 0.055)
O (0.747, 0.385, 0.256)
O (0.462, 0.060, 0.439)
O (0.748, 0.283, 0.755)
O (0.638, 0.382, 0.417)
O (0.432, 0.215, 0.261)
O (0.547, 0.280, 0.558)
O (0.749, 0.228, 0.235)
O (0.253, 0.395, 0.250)
O (0.144, 0.529, 0.745)
O (0.339, 0.715, 0.065)
O (0.645, 0.362, 0.742)
O (0.936, 0.615, 0.758)
O (0.962, 0.108, 0.941)
O (0.248, 0.217, 0.255)
O (0.841, 0.810, 0.254)
O (0.563, 0.478, 0.412)
O (0.460, 0.725, 0.427)
O (0.136, 0.785, 0.911)
O (0.145, 0.138, 0.242)
O (0.090, 0.623, 0.750)
O (0.253, 0.063, 0.243)
O (0.144, 0.471, 0.245)
O (0.932, 0.048, 0.259)
O (0.070, 0.353, 0.928)
O (0.645, 0.638, 0.242)
O (0.563, 0.811, 0.408)
O (0.341, 0.690, 0.754)
O (0.063, 0.978, 0.412)
O (0.643, 0.695, 0.741)
O (0.346, 0.977, 0.252)
O (0.846, 0.523, 0.752)
O (0.253, 0.937, 0.743)
O (0.547, 0.720, 0.058)
O (0.349, 0.056, 0.087)
O (0.432, 0.548, 0.259)
O (0.432, 0.785, 0.761)
O (0.587, 0.455, 0.746)
O (0.586, 0.787, 0.746)
O (0.436, 0.115, 0.758)
O (0.542, 0.384, 0.055)
O (0.960, 0.225, 0.427)
O (0.087, 0.045, 0.246)
O (0.045, 0.449, 0.558)
O (0.932, 0.715, 0.261)
O (0.143, 0.805, 0.241)
O (0.932, 0.952, 0.759)
O (0.250, 0.453, 0.756)
O (0.641, 0.951, 0.921)
O (0.750, 0.047, 0.256)
O (0.638, 0.618, 0.917)
O (0.938, 0.679, 0.565)
O (0.590, 0.123, 0.750)
O (0.349, 0.944, 0.587)
O (0.070, 0.647, 0.428)
O (0.962, 0.892, 0.441)
O (0.846, 0.477, 0.252)
O (0.644, 0.029, 0.745)
O (0.570, 0.853, 0.928)
O (0.845, 0.112, 0.585)
O (0.941, 0.650, 0.087)
O (0.047, 0.780, 0.558)
O (0.636, 0.285, 0.911)
O (0.839, 0.215, 0.065)
O (0.842, 0.856, 0.750)
O (0.063, 0.689, 0.908)
O (0.936, 0.385, 0.258)
O (0.570, 0.147, 0.428)
O (0.342, 0.356, 0.750)
O (0.086, 0.713, 0.246)
O (0.932, 0.285, 0.761)
O (0.136, 0.215, 0.411)
O (0.087, 0.955, 0.746)
O (0.750, 0.953, 0.756)
O (0.842, 0.144, 0.250)
O (0.937, 0.985, 0.071)
O (0.641, 0.049, 0.421)
O (0.247, 0.115, 0.756)
O (0.346, 0.023, 0.752)
O (0.138, 0.882, 0.417)
O (0.249, 0.728, 0.235)
O (0.253, 0.605, 0.750)
O (0.250, 0.547, 0.256)
O (0.962, 0.440, 0.939)
O (0.345, 0.388, 0.085)
O (0.590, 0.877, 0.250)
O (0.587, 0.545, 0.246)
O (0.841, 0.190, 0.754)
O (0.849, 0.556, 0.087)
O (0.563, 0.189, 0.908)
O (0.063, 0.022, 0.912)
O (0.441, 0.850, 0.587)
O (0.138, 0.118, 0.917)
O (0.586, 0.213, 0.246)
O (0.753, 0.563, 0.243)
O (0.636, 0.715, 0.411)
O (0.749, 0.772, 0.735)
O (0.432, 0.452, 0.759)
O (0.437, 0.485, 0.071)
O (0.545, 0.051, 0.058)
O (0.437, 0.515, 0.571)
O (0.441, 0.150, 0.087)
O (0.438, 0.179, 0.565)
O (0.753, 0.437, 0.743)
O (0.839, 0.785, 0.565)
O (0.042, 0.116, 0.555)
O (0.436, 0.885, 0.258)
O (0.644, 0.971, 0.245)
O (0.753, 0.105, 0.750)
O (0.460, 0.275, 0.927)
O (0.141, 0.549, 0.421)
O (0.341, 0.310, 0.254)
O (0.462, 0.392, 0.441)
O (0.462, 0.608, 0.941)
O (0.545, 0.949, 0.558)
O (0.090, 0.377, 0.250)
O (0.849, 0.444, 0.587)
O (0.643, 0.305, 0.241)
O (0.339, 0.285, 0.565)
O (0.141, 0.451, 0.921)
O (0.937, 0.015, 0.571)
O (0.748, 0.717, 0.255)
O (0.563, 0.522, 0.912)
O (0.249, 0.272, 0.735)
O (0.941, 0.350, 0.587)
O (0.962, 0.560, 0.439)
Ta (0.606, 0.252, 0.066)
Ta (0.106, 0.917, 0.566)
Ta (0.106, 0.752, 0.066)
Ta (0.605, 0.083, 0.566)
Ta (0.106, 0.083, 0.066)
Ta (0.605, 0.917, 0.066)
Ta (0.606, 0.417, 0.566)
Ta (0.106, 0.248, 0.566)
Ta (0.105, 0.417, 0.066)
Ta (0.606, 0.748, 0.566)
Ta (0.606, 0.583, 0.066)
Ta (0.105, 0.583, 0.566)
In (0.396, 0.083, 0.937)
In (0.401, 0.751, 0.948)
In (0.401, 0.249, 0.448)
In (0.896, 0.583, 0.937)
In (0.896, 0.417, 0.437)
In (0.396, 0.917, 0.437)
In (0.901, 0.251, 0.948)
In (0.896, 0.915, 0.939)
In (0.901, 0.749, 0.448)
In (0.396, 0.415, 0.939)
In (0.896, 0.085, 0.439)
In (0.396, 0.585, 0.439)
P (0.007, 0.319, 0.752)
P (0.002, 0.348, 0.247)
P (0.504, 0.486, 0.746)
P (0.007, 0.681, 0.252)
P (0.507, 0.181, 0.252)
P (0.004, 0.014, 0.246)
P (0.002, 0.652, 0.747)
P (0.502, 0.152, 0.747)
P (0.507, 0.819, 0.752)
P (0.502, 0.848, 0.247)
P (0.004, 0.986, 0.746)
P (0.504, 0.514, 0.246)
Si (0.147, 0.801, 0.742)
Si (0.146, 0.133, 0.740)
Si (0.851, 0.870, 0.258)
Si (0.348, 0.703, 0.248)
Si (0.147, 0.533, 0.242)
Si (0.851, 0.130, 0.758)
Si (0.850, 0.536, 0.253)
Si (0.348, 0.297, 0.748)
Si (0.647, 0.033, 0.242)
Si (0.646, 0.633, 0.740)
Si (0.647, 0.301, 0.742)
Si (0.646, 0.367, 0.240)
Si (0.147, 0.199, 0.242)
Si (0.848, 0.203, 0.248)
Si (0.351, 0.370, 0.258)
Si (0.350, 0.964, 0.753)
Si (0.647, 0.699, 0.242)
Si (0.647, 0.967, 0.742)
Si (0.350, 0.036, 0.253)
Si (0.351, 0.630, 0.758)
Si (0.147, 0.467, 0.742)
Si (0.146, 0.867, 0.240)
Si (0.850, 0.464, 0.753)
Si (0.848, 0.797, 0.748)

- Which formula does entry 2 have?
  PuIn

- Look up the ρ of the first one.
  5.93 g/cm3